[1]
# LuFe2 (meta-GGA r2SCAN, optimized geometry)
data_LuFe2
_cell_length_a 5.0938
_cell_length_b 5.0938
_cell_length_c 5.0938
_cell_angle_alpha 60.00
_cell_angle_beta 60.00
_cell_angle_gamma 60.00
_symmetry_space_group_name_H-M 'P 1'
_symmetry_Int_Tables_number 1
loop_
_symmetry_equiv_pos_as_xyz
'x,y,z'
loop_
_atom_site_label
_atom_site_type_symbol
_atom_site_fract_x
_atom_site_fract_y
_atom_site_fract_z
Fe1 Fe 0.5000 0.0000 0.5000
Fe2 Fe 0.0000 0.5000 0.5000
Fe3 Fe 0.5000 0.5000 0.5000
Fe4 Fe 0.5000 0.5000 0.0000
Lu1 Lu 0.1250 0.1250 0.1250
Lu2 Lu 0.8750 0.8750 0.8750
# V = 15.58 Å³/atom
# DFT formation energy = -72 meV/atom
# Total magnetization = 7.30 μB per cell
# Crystal system = cubic
# Raw total energy = -134.2 eV per cell

[2]
# LuFe2Si2 (meta-GGA r2SCAN, optimized geometry)
data_LuFe2Si2
_cell_length_a 3.8410
_cell_length_b 3.8410
_cell_length_c 5.5707
_cell_angle_alpha 110.17
_cell_angle_beta 110.17
_cell_angle_gamma 90.00
_symmetry_space_group_name_H-M 'P 1'
_symmetry_Int_Tables_number 1
loop_
_symmetry_equiv_pos_as_xyz
'x,y,z'
loop_
_atom_site_label
_atom_site_type_symbol
_atom_site_fract_x
_atom_site_fract_y
_atom_site_fract_z
Fe1 Fe 0.2500 0.7500 0.5000
Fe2 Fe 0.7500 0.2500 0.5000
Si1 Si 0.3738 0.3738 0.7477
Si2 Si 0.6262 0.6262 0.2523
Lu1 Lu 0.0000 0.0000 0.0000
# V = 14.35 Å³/atom
# DFT formation energy = -515 meV/atom
# Total magnetization = 1.98 μB per cell
# Crystal system = tetragonal
# Raw total energy = -87.0 eV per cell

[3]
# MgFeO3 (meta-GGA r2SCAN, optimized geometry)
data_MgFeO3
_cell_length_a 4.9539
_cell_length_b 5.1818
_cell_length_c 7.2574
_cell_angle_alpha 90.00
_cell_angle_beta 90.00
_cell_angle_gamma 90.00
_symmetry_space_group_name_H-M 'P 1'
_symmetry_Int_Tables_number 1
loop_
_symmetry_equiv_pos_as_xyz
'x,y,z'
loop_
_atom_site_label
_atom_site_type_symbol
_atom_site_fract_x
_atom_site_fract_y
_atom_site_fract_z
Fe1 Fe 0.0000 0.5000 0.0000
Fe2 Fe 0.5000 0.0000 0.5000
Fe3 Fe 0.0000 0.5000 0.5000
Fe4 Fe 0.5000 0.0000 0.0000
O1 O 0.6901 0.3063 0.4355
O2 O 0.1901 0.1937 0.9355
O3 O 0.1240 0.4512 0.2500
O4 O 0.6901 0.3063 0.0645
O5 O 0.3099 0.6937 0.9355
O6 O 0.8099 0.8063 0.4355
O7 O 0.3760 0.9512 0.2500
O8 O 0.8099 0.8063 0.0645
O9 O 0.3099 0.6937 0.5645
O10 O 0.6240 0.0488 0.7500
O11 O 0.1901 0.1937 0.5645
O12 O 0.8760 0.5488 0.7500
Mg1 Mg 0.0167 0.9328 0.7500
Mg2 Mg 0.5167 0.5672 0.2500
Mg3 Mg 0.9833 0.0672 0.2500
Mg4 Mg 0.4833 0.4328 0.7500
# V = 9.31 Å³/atom
# DFT formation energy = -2011 meV/atom
# Total magnetization = 15.76 μB per cell
# Crystal system = orthorhombic
# Raw total energy = -186.2 eV per cell

[4]
# MgFe2O3 (meta-GGA r2SCAN, optimized geometry)
data_MgFe2O3
_cell_length_a 2.9520
_cell_length_b 6.8901
_cell_length_c 6.0046
_cell_angle_alpha 107.80
_cell_angle_beta 89.99
_cell_angle_gamma 77.61
_symmetry_space_group_name_H-M 'P 1'
_symmetry_Int_Tables_number 1
loop_
_symmetry_equiv_pos_as_xyz
'x,y,z'
loop_
_atom_site_label
_atom_site_type_symbol
_atom_site_fract_x
_atom_site_fract_y
_atom_site_fract_z
O1 O 0.8371 0.3222 0.1139
O2 O 0.1629 0.6778 0.3861
O3 O 0.5000 0.9999 0.7500
O4 O 0.1598 0.6778 0.8862
O5 O 0.8402 0.3222 0.6138
O6 O 0.5000 0.9999 0.2500
Fe1 Fe 0.6764 0.6486 0.1239
Fe2 Fe 0.3236 0.3514 0.3761
Fe3 Fe 0.6748 0.6486 0.6239
Fe4 Fe 0.3251 0.3515 0.8761
Mg1 Mg 0.0001 0.0000 0.5000
Mg2 Mg 0.9999 0.0000 0.0000
# V = 9.44 Å³/atom
# DFT formation energy = -1856 meV/atom
# Total magnetization = 0.00 μB per cell
# Raw total energy = -124.1 eV per cell

[5]
# MgFe2O3 (meta-GGA r2SCAN, optimized geometry)
data_MgFe2O3
_cell_length_a 4.2108
_cell_length_b 6.7780
_cell_length_c 4.2142
_cell_angle_alpha 90.00
_cell_angle_beta 90.00
_cell_angle_gamma 71.91
_symmetry_space_group_name_H-M 'P 1'
_symmetry_Int_Tables_number 1
loop_
_symmetry_equiv_pos_as_xyz
'x,y,z'
loop_
_atom_site_label
_atom_site_type_symbol
_atom_site_fract_x
_atom_site_fract_y
_atom_site_fract_z
O1 O 0.1611 0.6777 0.0000
O2 O 0.0000 0.0000 0.5000
O3 O 0.5000 0.0000 0.0000
O4 O 0.6611 0.6777 0.5000
O5 O 0.8390 0.3223 0.0000
O6 O 0.3390 0.3222 0.5000
Fe1 Fe 0.1738 0.6522 0.5000
Fe2 Fe 0.8262 0.3477 0.5000
Fe3 Fe 0.6738 0.6522 0.0000
Fe4 Fe 0.3262 0.3477 0.0000
Mg1 Mg 0.5000 0.0000 0.5000
Mg2 Mg 0.0000 0.0000 0.0000
# V = 9.53 Å³/atom
# DFT formation energy = -1831 meV/atom
# Total magnetization = 16.00 μB per cell
# Raw total energy = -123.8 eV per cell

[6]
# MgFe4O9 (meta-GGA r2SCAN, optimized geometry)
data_MgFe4O9
_cell_length_a 8.2937
_cell_length_b 8.2937
_cell_length_c 4.5450
_cell_angle_alpha 90.00
_cell_angle_beta 90.00
_cell_angle_gamma 90.00
_symmetry_space_group_name_H-M 'P 1'
_symmetry_Int_Tables_number 1
loop_
_symmetry_equiv_pos_as_xyz
'x,y,z'
loop_
_atom_site_label
_atom_site_type_symbol
_atom_site_fract_x
_atom_site_fract_y
_atom_site_fract_z
Fe1 Fe 0.7851 0.0889 0.6183
Fe2 Fe 0.9111 0.7851 0.3817
Fe3 Fe 0.2149 0.9111 0.6183
Fe4 Fe 0.5889 0.7149 0.6183
Fe5 Fe 0.4111 0.2851 0.6183
Fe6 Fe 0.7149 0.4111 0.3817
Fe7 Fe 0.2851 0.5889 0.3817
Fe8 Fe 0.0889 0.2149 0.3817
O1 O 0.6037 0.2056 0.4592
O2 O 0.7056 0.8963 0.4592
O3 O 0.7316 0.0683 0.9716
O4 O 0.1037 0.7056 0.5408
O5 O 0.7944 0.6037 0.5408
O6 O 0.2944 0.1037 0.4592
O7 O 0.0683 0.2684 0.0284
O8 O 0.5683 0.7684 0.9716
O9 O 0.2316 0.5683 0.0284
O10 O 0.3963 0.7944 0.4592
O11 O 0.2684 0.9317 0.9716
O12 O 0.2056 0.3963 0.5408
O13 O 0.9317 0.7316 0.0284
O14 O 0.4317 0.2316 0.9716
O15 O 0.5000 0.5000 0.5000
O16 O 0.8963 0.2944 0.5408
O17 O 0.0000 0.0000 0.5000
O18 O 0.7684 0.4317 0.0284
Mg1 Mg 0.0000 0.5000 0.8666
Mg2 Mg 0.5000 0.0000 0.1334
# V = 11.17 Å³/atom
# DFT formation energy = -1326 meV/atom
# Total magnetization = 32.00 μB per cell
# Crystal system = tetragonal
# Raw total energy = -268.3 eV per cell

[7]
# MgFe2O4 (meta-GGA r2SCAN, optimized geometry)
data_MgFe2O4
_cell_length_a 5.9770
_cell_length_b 5.9770
_cell_length_c 5.9771
_cell_angle_alpha 120.31
_cell_angle_beta 120.31
_cell_angle_gamma 89.46
_symmetry_space_group_name_H-M 'P 1'
_symmetry_Int_Tables_number 1
loop_
_symmetry_equiv_pos_as_xyz
'x,y,z'
loop_
_atom_site_label
_atom_site_type_symbol
_atom_site_fract_x
_atom_site_fract_y
_atom_site_fract_z
O1 O 0.7811 0.2605 0.5205
O2 O 0.2395 0.7189 0.9795
O3 O 0.2395 0.2600 0.5205
O4 O 0.7605 0.7400 0.4795
O5 O 0.7605 0.2811 0.0205
O6 O 0.7600 0.7395 0.0205
O7 O 0.2189 0.7395 0.4795
O8 O 0.2400 0.2605 0.9795
Fe1 Fe 0.0000 0.0000 0.5000
Fe2 Fe 0.0000 0.5000 0.0000
Fe3 Fe 0.0000 0.5000 0.5000
Fe4 Fe 0.5000 0.5000 0.0000
Mg1 Mg 0.6250 0.8750 0.7500
Mg2 Mg 0.3750 0.1250 0.2500
# V = 10.73 Å³/atom
# DFT formation energy = -2018 meV/atom
# Total magnetization = 0.00 μB per cell
# Crystal system = tetragonal
# Raw total energy = -142.0 eV per cell

[8]
# YbMgFe2O4 (meta-GGA r2SCAN, optimized geometry)
data_YbMgFe2O4
_cell_length_a 11.1244
_cell_length_b 11.1244
_cell_length_c 11.1244
_cell_angle_alpha 16.22
_cell_angle_beta 16.22
_cell_angle_gamma 16.22
_symmetry_space_group_name_H-M 'P 1'
_symmetry_Int_Tables_number 1
loop_
_symmetry_equiv_pos_as_xyz
'x,y,z'
loop_
_atom_site_label
_atom_site_type_symbol
_atom_site_fract_x
_atom_site_fract_y
_atom_site_fract_z
Fe1 Fe 0.2400 0.2400 0.2400
Fe2 Fe 0.7600 0.7600 0.7600
O1 O 0.7020 0.7020 0.7020
O2 O 0.2980 0.2980 0.2980
O3 O 0.1319 0.1319 0.1319
O4 O 0.8681 0.8681 0.8681
Yb1 Yb 0.0000 0.0000 0.0000
Mg1 Mg 0.5000 0.5000 0.5000
# V = 11.71 Å³/atom
# DFT formation energy = -2200 meV/atom
# Total magnetization = 7.01 μB per cell
# Crystal system = trigonal
# Raw total energy = -111.0 eV per cell

What did the fourth record say?
# MgFe2O3 (meta-GGA r2SCAN, optimized geometry)
data_MgFe2O3
_cell_length_a 2.9520
_cell_length_b 6.8901
_cell_length_c 6.0046
_cell_angle_alpha 107.80
_cell_angle_beta 89.99
_cell_angle_gamma 77.61
_symmetry_space_group_name_H-M 'P 1'
_symmetry_Int_Tables_number 1
loop_
_symmetry_equiv_pos_as_xyz
'x,y,z'
loop_
_atom_site_label
_atom_site_type_symbol
_atom_site_fract_x
_atom_site_fract_y
_atom_site_fract_z
O1 O 0.8371 0.3222 0.1139
O2 O 0.1629 0.6778 0.3861
O3 O 0.5000 0.9999 0.7500
O4 O 0.1598 0.6778 0.8862
O5 O 0.8402 0.3222 0.6138
O6 O 0.5000 0.9999 0.2500
Fe1 Fe 0.6764 0.6486 0.1239
Fe2 Fe 0.3236 0.3514 0.3761
Fe3 Fe 0.6748 0.6486 0.6239
Fe4 Fe 0.3251 0.3515 0.8761
Mg1 Mg 0.0001 0.0000 0.5000
Mg2 Mg 0.9999 0.0000 0.0000
# V = 9.44 Å³/atom
# DFT formation energy = -1856 meV/atom
# Total magnetization = 0.00 μB per cell
# Raw total energy = -124.1 eV per cell